A relaxed structure of Ga2FeCo, computed with PBE-GGA.

The structure in POSCAR format:
```
Ga2FeCo
1.0
-0.632 -2.013 -1.977
-0.965 -1.750 2.090
-5.303 2.234 -0.578
Ga Fe Co
2 1 1
Direct
0.500 0.500 0.250
0.500 0.500 0.750
0.000 0.000 0.500
0.000 0.000 0.000
```

Summary:
- Total DFT energy (no corrections): -5.583 eV/atom
- E_form: -0.7 eV/f.u.